[1]
An optimized crystal structure of Li6Zn3P4S16, computed with GGA-PBE.

Properties
Uncorrected energy, eV/atom: -4.279
Energy above the most stable polymorph in this dataset, eV/atom: 0.004
DFT formation energy, meV per atom: -1002

Cell lengths 9.325, 11.595, 23.170 Å; angles 90.03, 89.97, 90.00 degrees
Fractional coordinates of all 116 atoms:
S1 0.137 0.395 0.431
S2 0.863 0.861 0.551
S3 0.871 0.640 0.446
Zn1 0.501 0.248 0.125
Zn2 0.499 0.250 0.375
S4 0.637 0.148 0.055
Li1 0.001 0.250 0.375
S5 0.365 0.894 0.574
Zn3 0.992 0.498 0.000
Li2 0.508 0.999 0.748
S6 0.863 0.637 0.198
P1 0.750 0.750 0.250
S7 0.136 0.896 0.431
P2 0.250 0.000 0.375
Zn4 0.000 0.000 0.250
S8 0.364 0.389 0.323
S9 0.125 0.894 0.926
P3 0.747 0.254 0.998
P4 0.750 0.746 0.499
Zn5 0.988 0.501 0.750
Li3 0.996 0.752 0.622
P5 0.750 0.250 0.500
S10 0.639 0.645 0.805
Li4 0.248 0.753 0.998
S11 0.638 0.853 0.444
S12 0.870 0.357 0.052
S13 0.630 0.145 0.804
Li5 0.003 0.248 0.125
P6 0.249 0.001 0.623
S14 0.367 0.607 0.926
P7 0.753 0.754 0.002
S15 0.139 0.105 0.071
Li6 0.255 0.750 0.751
Li7 0.994 0.252 0.623
S16 0.369 0.606 0.679
S17 0.635 0.354 0.194
Li8 0.500 0.253 0.877
P8 0.253 0.501 0.125
Zn6 0.505 0.250 0.624
S18 0.872 0.860 0.803
S19 0.126 0.103 0.821
S20 0.869 0.139 0.696
S21 0.372 0.108 0.178
Li9 0.505 0.749 0.875
S22 0.872 0.856 0.054
Zn7 0.995 0.000 0.750
S23 0.637 0.854 0.696
S24 0.373 0.891 0.820
S25 0.125 0.393 0.681
S26 0.128 0.105 0.571
S27 0.863 0.640 0.949
Li10 0.501 0.003 0.002
S28 0.125 0.606 0.820
S29 0.368 0.102 0.925
P9 0.250 0.500 0.375
Li11 0.999 0.003 0.001
S30 0.865 0.139 0.198
S31 0.136 0.604 0.319
Li12 0.249 0.251 0.752
S32 0.367 0.113 0.677
S33 0.872 0.646 0.698
S34 0.364 0.888 0.323
Zn8 0.500 0.751 0.376
Zn9 0.998 0.998 0.500
S35 0.133 0.600 0.572
S36 0.635 0.351 0.695
S37 0.866 0.143 0.948
P10 0.254 0.995 0.874
S38 0.639 0.644 0.554
Li13 0.503 0.502 0.500
S39 0.135 0.104 0.319
S40 0.130 0.897 0.680
P11 0.248 0.003 0.125
P12 0.246 0.500 0.875
Zn10 0.999 0.500 0.250
S41 0.369 0.889 0.074
S42 0.637 0.146 0.306
S43 0.637 0.145 0.555
S44 0.365 0.389 0.073
S45 0.134 0.399 0.180
Li14 0.500 0.998 0.499
Li15 0.994 0.746 0.876
S46 0.364 0.611 0.427
S47 0.365 0.389 0.575
Li16 0.506 0.749 0.624
Li17 0.003 0.751 0.374
S48 0.863 0.363 0.552
Li18 0.748 0.001 0.879
S49 0.865 0.861 0.302
S50 0.128 0.396 0.929
S51 0.634 0.359 0.946
S52 0.365 0.613 0.177
S53 0.634 0.354 0.444
S54 0.637 0.854 0.195
P13 0.746 0.750 0.750
Li19 0.508 0.501 0.751
S55 0.865 0.139 0.448
S56 0.865 0.357 0.802
S57 0.865 0.361 0.302
S58 0.131 0.604 0.069
S59 0.631 0.855 0.948
S60 0.367 0.395 0.823
Li20 0.502 0.999 0.251
Zn11 0.998 0.501 0.499
Li21 0.502 0.497 0.000
P14 0.250 0.499 0.627
Zn12 0.505 0.749 0.126
S61 0.137 0.896 0.181
Li22 0.995 0.251 0.877
P15 0.752 0.246 0.750
Li23 0.996 0.750 0.127
Li24 0.501 0.500 0.250
P16 0.750 0.250 0.250
S62 0.628 0.647 0.054
S63 0.635 0.646 0.306
S64 0.364 0.112 0.427

[2]
An optimized crystal structure of Mg14NbNi, computed with GGA-PBE.

Properties
Uncorrected energy, eV/atom: -2.306
Energy above the most stable polymorph in this dataset, eV/atom: 0.000
DFT formation energy, meV per atom: 87

Cell lengths 6.296, 6.136, 9.889 Å; angles 90.00, 90.00, 119.17 degrees
Fractional coordinates of all 16 atoms:
Mg1 0.857 0.178 0.357
Mg2 0.665 0.330 0.625
Mg3 0.665 0.835 0.625
Mg4 0.843 0.671 0.875
Mg5 0.168 0.334 0.625
Mg6 0.328 0.165 0.890
Mg7 0.170 0.835 0.625
Mg8 0.653 0.818 0.125
Nb1 0.142 0.821 0.125
Mg9 0.328 0.663 0.360
Mg10 0.328 0.663 0.890
Mg11 0.328 0.165 0.360
Mg12 0.843 0.671 0.375
Mg13 0.857 0.178 0.893
Ni1 0.171 0.336 0.125
Mg14 0.653 0.334 0.125

[3]
An optimized crystal structure of Sm2VFe16, computed with GGA-PBE.

Properties
Uncorrected energy, eV/atom: -8.116
DFT formation energy, meV per atom: -9

Cell lengths 6.428, 6.428, 6.428 Å; angles 82.78, 82.78, 82.78 degrees
Fractional coordinates of all 19 atoms:
Fe1 0.001 0.001 0.500
Fe2 0.704 0.999 0.295
V1 0.091 0.091 0.091
Fe3 0.660 0.156 0.660
Fe4 0.500 0.001 0.001
Sm1 0.345 0.345 0.345
Fe5 0.156 0.660 0.660
Fe6 0.340 0.844 0.340
Fe7 0.340 0.340 0.844
Fe8 0.704 0.295 0.999
Fe9 0.295 0.704 0.999
Fe10 0.295 0.999 0.704
Fe11 0.844 0.340 0.340
Fe12 0.001 0.500 0.001
Sm2 0.659 0.659 0.659
Fe13 0.999 0.295 0.704
Fe14 0.999 0.704 0.295
Fe15 0.906 0.906 0.906
Fe16 0.660 0.660 0.156

[4]
An optimized crystal structure of LiBiP2O7, computed with GGA-PBE.

Properties
Uncorrected energy, eV/atom: -6.714
Energy above the most stable polymorph in this dataset, eV/atom: 0.045
DFT formation energy, meV per atom: -2491

Cell lengths 8.851, 5.199, 14.334 Å; angles 72.25, 90.00, 90.00 degrees
Fractional coordinates of all 44 atoms:
O1 0.122 0.999 0.898
O2 0.378 0.999 0.398
P1 0.540 0.093 0.181
O3 0.394 0.833 0.929
O4 0.438 0.211 0.768
O5 0.122 0.196 0.667
Bi1 0.647 0.891 0.386
O6 0.319 0.490 0.444
O7 0.181 0.490 0.944
O8 0.894 0.167 0.571
Bi2 0.853 0.891 0.886
O9 0.878 0.001 0.102
O10 0.716 0.258 0.431
O11 0.622 0.804 0.833
O12 0.135 0.759 0.260
P2 0.040 0.907 0.319
O13 0.106 0.833 0.429
P3 0.960 0.093 0.681
Li1 0.256 0.407 0.310
O14 0.378 0.196 0.167
O15 0.635 0.241 0.240
Li2 0.756 0.593 0.190
Bi3 0.353 0.109 0.614
O16 0.606 0.167 0.071
Li3 0.744 0.593 0.690
O17 0.284 0.742 0.569
O18 0.938 0.789 0.732
O19 0.681 0.510 0.556
Li4 0.244 0.407 0.810
O20 0.819 0.510 0.056
O21 0.622 0.001 0.602
P4 0.460 0.907 0.819
O22 0.562 0.789 0.232
O23 0.784 0.258 0.931
P5 0.282 0.761 0.460
P6 0.718 0.239 0.540
O24 0.365 0.759 0.760
P7 0.782 0.239 0.040
O25 0.865 0.241 0.740
O26 0.878 0.804 0.333
Bi4 0.147 0.109 0.114
P8 0.218 0.761 0.960
O27 0.216 0.742 0.069
O28 0.062 0.211 0.268

[5]
An optimized crystal structure of PuSb, computed with GGA-PBE.

Properties
Uncorrected energy, eV/atom: -9.835
DFT formation energy, meV per atom: -732

Cell lengths 4.433, 4.433, 4.433 Å; angles 60.00, 60.00, 60.00 degrees
Fractional coordinates of all 2 atoms:
Pu1 0.000 0.000 0.000
Sb1 0.500 0.500 0.500

[6]
An optimized crystal structure of Cs4Sb14S23, computed with GGA-PBE.

Properties
Uncorrected energy, eV/atom: -4.263
DFT formation energy, meV per atom: -727

Cell lengths 12.248, 14.395, 15.083 Å; angles 93.56, 94.56, 110.07 degrees
Fractional coordinates of all 82 atoms:
S1 0.614 0.768 0.209
Sb1 0.585 0.294 0.285
S2 0.939 0.818 0.862
Sb2 0.586 0.235 0.781
S3 0.080 0.176 0.386
Sb3 0.595 0.283 0.540
S4 0.547 0.132 0.632
S5 0.535 0.093 0.882
S6 0.394 0.567 0.295
S7 0.885 0.256 0.516
S8 0.922 0.919 0.136
Sb4 0.904 0.717 0.467
Sb5 0.235 0.526 0.881
Sb6 0.394 0.386 0.710
S9 0.120 0.716 0.737
Sb7 0.606 0.614 0.290
S10 0.616 0.743 0.472
S11 0.880 0.284 0.263
S12 0.372 0.256 0.277
Sb8 0.115 0.611 0.592
S13 0.606 0.433 0.705
Cs1 0.738 0.995 0.569
S14 0.421 0.503 0.850
Cs2 0.262 0.005 0.431
Sb9 0.255 0.477 0.116
Sb10 0.889 0.956 0.805
Sb11 0.620 0.621 0.588
S15 0.412 0.826 0.602
Sb12 0.096 0.283 0.533
S16 0.628 0.744 0.723
S17 0.650 0.378 0.965
S18 0.557 0.166 0.151
Sb13 0.885 0.389 0.408
S19 0.856 0.619 0.039
S20 0.592 0.452 0.425
Sb14 0.765 0.474 0.119
Sb15 0.911 0.695 0.721
S21 0.061 0.182 0.138
Sb16 0.380 0.379 0.412
S22 0.118 0.792 0.224
Sb17 0.110 0.628 0.293
Cs3 0.644 0.733 0.979
S23 0.935 0.867 0.378
S24 0.465 0.907 0.118
Sb18 0.405 0.717 0.460
S25 0.920 0.824 0.614
S26 0.115 0.744 0.484
S27 0.766 0.979 0.924
Cs4 0.159 0.760 0.992
S28 0.898 0.575 0.299
Sb19 0.910 0.774 0.226
S29 0.443 0.834 0.849
Sb20 0.890 0.372 0.707
Sb21 0.414 0.765 0.219
S30 0.882 0.208 0.776
Cs5 0.246 0.972 0.718
S31 0.903 0.537 0.576
S32 0.079 0.513 0.150
S33 0.408 0.548 0.575
S34 0.065 0.133 0.622
Sb22 0.395 0.028 0.193
S35 0.386 0.232 0.791
S36 0.102 0.425 0.701
Sb23 0.605 0.972 0.807
Sb24 0.415 0.706 0.715
S37 0.384 0.257 0.528
Cs6 0.356 0.267 0.021
Sb25 0.090 0.226 0.774
Sb26 0.111 0.044 0.195
S38 0.144 0.381 0.961
Sb27 0.089 0.305 0.279
S39 0.097 0.463 0.424
S40 0.579 0.497 0.150
S41 0.078 0.081 0.864
Cs7 0.754 0.028 0.282
S42 0.453 0.868 0.368
S43 0.350 0.622 0.035
Cs8 0.841 0.240 0.008
S44 0.921 0.487 0.850
S45 0.588 0.174 0.398
S46 0.234 0.021 0.076
Sb28 0.745 0.523 0.884

[7]
An optimized crystal structure of MnCdSe2, computed with GGA-PBE.

Properties
Uncorrected energy, eV/atom: -4.766
DFT formation energy, meV per atom: -733

Cell lengths 4.296, 4.296, 6.960 Å; angles 90.00, 90.00, 60.00 degrees
Fractional coordinates of all 4 atoms:
Mn1 0.333 0.333 0.002
Se1 0.667 0.667 0.112
Cd1 0.667 0.667 0.498
Se2 0.333 0.333 0.638

[8]
An optimized crystal structure of Cs2Li2TiO4, computed with GGA-PBE.

Properties
Uncorrected energy, eV/atom: -5.924
DFT formation energy, meV per atom: -2530

Cell lengths 5.848, 5.967, 9.605 Å; angles 83.85, 74.52, 86.19 degrees
Fractional coordinates of all 18 atoms:
O1 0.635 0.362 0.602
O2 0.259 0.797 0.106
Cs1 0.528 0.144 0.287
Cs2 0.217 0.271 0.989
Li1 0.072 0.817 0.558
Li2 0.928 0.183 0.442
O3 0.900 0.863 0.403
O4 0.978 0.427 0.290
O5 0.741 0.203 0.894
Ti1 0.137 0.682 0.291
Cs3 0.472 0.856 0.713
O6 0.022 0.573 0.710
Ti2 0.863 0.318 0.709
O7 0.100 0.137 0.597
Li3 0.307 0.415 0.576
Li4 0.693 0.585 0.424
O8 0.365 0.638 0.398
Cs4 0.783 0.729 0.011